#1
Material: Ta2CuO6
Method: DFT, PBE
State: relaxed

```
Ta2CuO6
1.0
4.795 0.000 0.000
0.000 4.795 0.000
0.000 0.000 9.165
Ta Cu O
4 2 12
Direct
0.000 0.000 0.668
0.500 0.500 0.168
0.500 0.500 0.832
0.000 0.000 0.332
0.000 0.000 0.000
0.500 0.500 0.500
0.204 0.796 0.824
0.704 0.704 0.324
0.812 0.188 0.500
0.296 0.296 0.676
0.796 0.204 0.824
0.188 0.812 0.500
0.312 0.312 0.000
0.688 0.688 0.000
0.296 0.296 0.324
0.204 0.796 0.176
0.704 0.704 0.676
0.796 0.204 0.176
```

Output
Magnetic moment ... 1.000 μB/f.u.
Space group ... P4_2/mnm

#2
Material: Ta2CuO6
Method: DFT, PBE
State: relaxed

```
Ta2CuO6
1.0
-3.754 3.816 3.820
3.754 -3.816 3.820
3.754 3.816 -3.820
Ta Cu O
4 2 12
Direct
0.000 0.500 0.000
0.500 0.500 0.500
0.000 0.000 0.500
0.500 0.000 0.000
0.500 0.000 0.500
0.000 0.500 0.500
0.178 0.485 0.307
0.822 0.515 0.693
0.822 0.128 0.307
0.178 0.872 0.693
0.900 0.705 0.196
0.100 0.295 0.804
0.509 0.705 0.804
0.491 0.295 0.196
0.686 0.813 0.499
0.314 0.187 0.501
0.686 0.187 0.872
0.314 0.813 0.128
```

Output
Magnetic moment ... 1.000 μB/f.u.
Space group ... Immm

Stability check: which of them is least stable? #1.